No. 1
The following is a DFT calculation (GGA-PBE) of a geometry-optimized Hf2InNi2 structure.

Cell and atoms, written as CIF:
```
data_Hf2InNi2
_chemical_formula_sum 'Hf8 In4 Ni8'
_cell_length_a 7.1401
_cell_length_b 7.1401
_cell_length_c 6.5467
_cell_angle_alpha 90.00
_cell_angle_beta 90.00
_cell_angle_gamma 90.00
_symmetry_space_group_name_H-M 'P 42/m n m'
_symmetry_Int_Tables_number 136
_symmetry_space_group_name_Hall '-P 4n 2n'
loop_
_atom_site_label
_atom_site_fract_x
_atom_site_fract_y
_atom_site_fract_z
Hf1 0.1594 0.1594 0.0000
Hf2 0.1742 0.1742 0.5000
In1 0.0000 0.5000 0.2500
Ni1 0.1263 0.8737 0.2675
```

No. 2
The following is a DFT calculation (GGA-PBE) of a geometry-optimized LaAl2Ga2 structure.

Cell and atoms, written as CIF:
```
data_LaAl2Ga2
_chemical_formula_sum 'La2 Al4 Ga4'
_cell_length_a 4.2944
_cell_length_b 4.2944
_cell_length_c 11.1783
_cell_angle_alpha 90.00
_cell_angle_beta 90.00
_cell_angle_gamma 90.00
_symmetry_space_group_name_H-M 'I 4/m m m'
_symmetry_Int_Tables_number 139
_symmetry_space_group_name_Hall '-I 4 2'
loop_
_atom_site_label
_atom_site_fract_x
_atom_site_fract_y
_atom_site_fract_z
La1 0.0000 0.0000 0.0000
Al1 0.0000 0.5000 0.2500
Ga1 0.0000 0.0000 0.3857
```

No. 3
The following is a DFT calculation (GGA-PBE) of a geometry-optimized NbNO structure.

Cell and atoms, written as CIF:
```
data_NbNO
_chemical_formula_sum 'Nb4 N4 O4'
_cell_length_a 3.9692
_cell_length_b 3.9692
_cell_length_c 10.4850
_cell_angle_alpha 90.00
_cell_angle_beta 90.00
_cell_angle_gamma 90.00
_symmetry_space_group_name_H-M 'I 41 m d'
_symmetry_Int_Tables_number 109
_symmetry_space_group_name_Hall 'I 4bw -2'
loop_
_atom_site_label
_atom_site_fract_x
_atom_site_fract_y
_atom_site_fract_z
Nb1 0.0000 0.0000 0.0000
N1 0.0000 0.0000 0.1860
O1 0.0000 0.0000 0.7664
```

Summary:
total energy after the MP2020 corrections	-115.1	eV for the cell shown
polymorph energy (0 for the lowest one)	1.42	kcal/mol of atoms
largest piezoelectric modulus	4.70	C/m²

No. 4
The following is a DFT calculation (GGA-PBE) of a geometry-optimized Dy4Te3N2 structure.

Cell and atoms, written as CIF:
```
data_Dy4Te3N2
_chemical_formula_sum 'Dy16 Te12 N8'
_cell_length_a 7.2870
_cell_length_b 11.7438
_cell_length_c 13.0696
_cell_angle_alpha 90.00
_cell_angle_beta 122.37
_cell_angle_gamma 90.00
_symmetry_space_group_name_H-M 'P 1 21/c 1'
_symmetry_Int_Tables_number 14
loop_
_symmetry_equiv_pos_as_xyz
'x,y,z'
'-x,-y,-z'
'-x,y+1/2,-z+1/2'
'x,-y+1/2,z+1/2'
loop_
_atom_site_label
_atom_site_fract_x
_atom_site_fract_y
_atom_site_fract_z
Dy1 0.0602 0.1571 0.3882
Dy2 0.1369 0.1015 0.1673
Dy3 0.2239 0.6428 0.8630
Dy4 0.2952 0.0860 0.8152
Te1 0.2198 0.6544 0.5988
Te2 0.3574 0.5152 0.1049
Te3 0.4441 0.1621 0.0731
N1 0.0195 0.0088 0.2706
N2 0.0872 0.2421 0.7474
```

Summary:
total energy after the MP2020 corrections	-237.1	eV for the cell shown

No. 5
The following is a DFT calculation (GGA-PBE) of a geometry-optimized Y3ErTi4Si2O18 structure.

Cell and atoms, written as CIF:
```
data_Y3ErTi4Si2O18
_chemical_formula_sum 'Y6 Er2 Ti8 Si4 O36'
_cell_length_a 4.9055
_cell_length_b 11.2367
_cell_length_c 12.4031
_cell_angle_alpha 90.00
_cell_angle_beta 95.72
_cell_angle_gamma 90.00
_symmetry_space_group_name_H-M 'P 1 21 1'
_symmetry_Int_Tables_number 4
loop_
_symmetry_equiv_pos_as_xyz
'x,y,z'
'-x,y+1/2,-z'
loop_
_atom_site_label
_atom_site_fract_x
_atom_site_fract_y
_atom_site_fract_z
Y1 0.1970 0.0000 0.0691
Y2 0.2360 0.2788 0.5781
Y3 0.2640 0.0033 0.4221
Er1 0.3044 0.2818 0.9309
Ti1 0.0510 0.8045 0.8501
Ti2 0.0847 0.4771 0.3605
Ti3 0.4154 0.8051 0.6395
Ti4 0.4491 0.4778 0.1499
Si1 0.1782 0.7353 0.2474
Si2 0.3214 0.5467 0.7524
O1 0.0531 0.0933 0.5621
O2 0.0795 0.1933 0.0654
O3 0.0832 0.8526 0.5531
O4 0.1170 0.4299 0.0646
O5 0.1574 0.2398 0.7547
O6 0.1869 0.4772 0.6436
O7 0.2289 0.6910 0.7458
O8 0.2326 0.9335 0.7446
O9 0.2471 0.7999 0.1342
O10 0.2550 0.4811 0.8657
O11 0.2675 0.3486 0.2555
O12 0.2709 0.5910 0.2543
O13 0.3127 0.8049 0.3563
O14 0.3432 0.0427 0.2465
O15 0.3849 0.8516 0.9360
O16 0.4168 0.4295 0.4469
O17 0.4213 0.0906 0.9335
O18 0.4469 0.1889 0.4379
```

Summary:
total energy after the MP2020 corrections	-517.3	eV for the cell shown

Volume (computed, Å³/cell): 333.76; 206.15; 165.19; 944.71; 680.28
Raw total energy (computed, eV/atom): -7.35; -4.19; -9.36; -6.51; -8.80
Energy relative to the elements (computed, eV/f.u.): -2.5; -2.5; -5.4; -14.7; -103.2